1.
This record from the Materials Project describes an optimized crystal structure of Rb2FeF4. The functional is PBE with a Hubbard U.

Values from the calculation:
E_form: -2827 meV per atom
Corrected total energy (MP2020 scheme): -5.4115 eV/atom
Mass density: 3.93 g/cm3

a b c (Å): 7.5183 7.5183 7.5183
angles (deg): 146.66 146.66 47.87
Last column: nearest neighbours and their distance in Å.
Positions (direct):
F  0.5000  0.0000  0.5000  2 Fe 2.16
F  0.8503  0.8503  0.0000  1 Fe 2.06
F  0.0000  0.5000  0.5000  2 Fe 2.16
F  0.1497  0.1497  0.0000  1 Fe 2.06
Rb  0.6445  0.6445  0.0000  9 F 2.83-3.05
Rb  0.3555  0.3555  0.0000  9 F 2.83-3.05
Fe  0.0000  0.0000  0.0000  6 F 2.06-2.16



2.
This record from the Materials Project describes an optimized crystal structure of SrLaMn2O6. The functional is PBE with a Hubbard U.

Values from the calculation:
E_form: -2762 meV per atom
Corrected total energy (MP2020 scheme): -8.2261 eV/atom
Mass density: 6.02 g/cm3

a b c (Å): 5.5399 5.5399 5.5399
angles (deg): 120.54 120.54 89.07
Last column: nearest neighbours and their distance in Å.
Positions (direct):
O  0.0000  0.5000  0.5000  2 Mn 1.97
O  0.0424  0.4720  0.0000  2 Mn 1.96
O  0.5000  0.0000  0.5000  2 Mn 1.97
O  0.9576  0.9576  0.4296  2 Mn 1.96
O  0.5280  0.5280  0.5704  2 Mn 1.96
O  0.4720  0.0424  0.0000  2 Mn 1.96
Mn  0.2500  0.7500  0.5000  6 O 1.96-1.97
Mn  0.7500  0.2500  0.5000  6 O 1.96-1.97
Sr  0.0000  0.0000  0.0000  12 O 2.63-2.93
La  0.5000  0.5000  0.0000  8 O 2.54-2.75



3.
This record from the Materials Project describes an optimized crystal structure of Li4CrFe3O8. The functional is PBE with a Hubbard U.

Values from the calculation:
E_form: -2057 meV per atom
Corrected total energy (MP2020 scheme): -7.1994 eV/atom
Mass density: 4.13 g/cm3

a b c (Å): 5.1722 5.1849 5.9663
angles (deg): 106.76 89.98 99.51
Last column: nearest neighbours and their distance in Å.
Positions (direct):
O  0.6311  0.7726  0.4434  1 Cr 2.04, 2 Fe 2.05-2.06, 3 Li 2.17-2.20
O  0.3689  0.2274  0.5566  1 Cr 2.04, 2 Fe 2.05-2.06, 3 Li 2.17-2.20
O  0.6271  0.7695  0.9420  3 Fe 2.06-2.07, 3 Li 2.17
O  0.3729  0.2305  0.0580  3 Fe 2.06-2.07, 3 Li 2.17
O  0.8722  0.2284  0.8064  1 Cr 2.05, 2 Fe 2.05-2.06, 3 Li 2.17-2.18
O  0.8717  0.2274  0.3077  1 Cr 2.05, 2 Fe 2.05-2.06, 3 Li 2.17-2.18
O  0.1283  0.7726  0.6923  1 Cr 2.05, 2 Fe 2.05-2.06, 3 Li 2.17-2.18
O  0.1278  0.7716  0.1936  1 Cr 2.05, 2 Fe 2.05-2.06, 3 Li 2.17-2.18
Li  0.2493  0.4986  0.8743  6 O 2.17-2.18
Li  0.7507  0.5014  0.1257  6 O 2.17-2.18
Li  0.7521  0.5003  0.6248  6 O 2.17-2.20
Li  0.2479  0.4997  0.3752  6 O 2.17-2.20
Cr  0.0000  0.0000  0.5000  6 O 2.04-2.05
Fe  0.0000  0.0000  0.0000  6 O 2.05-2.07
Fe  0.5003  0.0004  0.7501  6 O 2.05-2.06
Fe  0.4997  0.9996  0.2499  6 O 2.05-2.06



4.
This record from the Materials Project describes an optimized crystal structure of LiTi3VP6O24. The functional is PBE with a Hubbard U.

Values from the calculation:
E_form: -2884 meV per atom
Corrected total energy (MP2020 scheme): -8.1960 eV/atom
Mass density: 2.76 g/cm3

a b c (Å): 8.7724 8.7724 8.7724
angles (deg): 58.73 58.73 58.73
Last column: nearest neighbours and their distance in Å.
Positions (direct):
O  0.5770  0.2133  0.4452  1 P 1.53
O  0.4176  0.7850  0.5662  1 P 1.53
O  0.6374  0.7892  0.9970  1 P 1.57
O  0.7892  0.9970  0.6374  1 P 1.57
O  0.0711  0.9372  0.7246  1 P 1.57
O  0.2114  0.9967  0.3689  1 P 1.54
O  0.7850  0.5662  0.4176  1 P 1.53
O  0.9232  0.0590  0.2799  1 P 1.54
O  0.4452  0.5770  0.2133  1 P 1.53
O  0.9970  0.6374  0.7892  1 P 1.57
O  0.2799  0.9232  0.0590  1 P 1.54
O  0.3689  0.2114  0.9967  1 P 1.54
O  0.1395  0.5101  0.2737  1 P 1.53
O  0.7246  0.0711  0.9372  1 P 1.57
O  0.5101  0.2737  0.1395  1 P 1.53
O  0.9372  0.7246  0.0711  1 P 1.57
O  0.8608  0.4969  0.7195  1 P 1.52
O  0.0590  0.2799  0.9232  1 P 1.54
O  0.7195  0.8608  0.4969  1 P 1.52
O  0.5662  0.4176  0.7850  1 P 1.53
O  0.4969  0.7195  0.8608  1 P 1.52
O  0.9967  0.3689  0.2114  1 P 1.54
O  0.2133  0.4452  0.5770  1 P 1.53
O  0.2737  0.1395  0.5101  1 P 1.53
P  0.7507  0.0325  0.4631  4 O 1.52-1.57
P  0.0325  0.4631  0.7507  4 O 1.52-1.57
P  0.2465  0.9668  0.5388  4 O 1.53-1.57
P  0.4631  0.7507  0.0325  4 O 1.52-1.57
P  0.9668  0.5388  0.2465  4 O 1.53-1.57
P  0.5388  0.2465  0.9668  4 O 1.53-1.57
Ti  0.6390  0.6390  0.6390  6 O 1.92-1.96
Ti  0.1447  0.1447  0.1447  6 O 1.91-1.99
Ti  0.3609  0.3609  0.3609  6 O 1.93-1.98
V  0.8552  0.8552  0.8552  6 O 1.86-1.93
Li  0.0013  0.0013  0.0013  6 O 2.43-2.47



5.
This record from the Materials Project describes an optimized crystal structure of Li7Mn5O12. The functional is PBE with a Hubbard U.

Values from the calculation:
E_form: -2118 meV per atom
Corrected total energy (MP2020 scheme): -7.0571 eV/atom
Mass density: 3.87 g/cm3

a b c (Å): 5.8357 14.6801 5.9686
angles (deg): 98.11 119.10 84.08
Last column: nearest neighbours and their distance in Å.
Positions (direct):
Mn  0.4953  0.4968  0.2329  4 O 1.91-1.99
Mn  0.9935  0.0075  0.5132  4 O 1.82-2.01
Mn  0.1716  0.8362  0.2675  4 O 1.92-1.99
Mn  0.9934  0.0074  0.0132  4 O 1.82-2.01
Mn  0.6732  0.3259  0.9868  4 O 1.82-2.01
Mn  0.4953  0.4972  0.7326  4 O 1.92-1.99
Mn  0.6732  0.3258  0.4869  4 O 1.82-2.02
Mn  0.3334  0.6667  0.4998  4 O 1.96-1.97
Mn  0.1710  0.8366  0.7670  4 O 1.91-1.99
Mn  0.3333  0.6667  0.0004  4 O 1.96-1.97
O  0.8661  0.9259  0.1712  3 Mn 1.99-2.04, 2 Li 2.13-2.14
O  0.5212  0.2597  0.6396  2 Mn 1.94-1.96, 2 Li 2.05-2.06
O  0.6886  0.0766  0.3882  1 Mn 1.82, 1 Li 2.00
O  0.6477  0.5828  0.1238  2 Mn 1.96-1.97, 2 Li 2.13-2.14
O  0.1799  0.5816  0.6099  2 Mn 1.96-1.98, 3 Li 2.10-2.12
O  0.3124  0.9175  0.6443  2 Mn 1.91-2.05, 1 Li 2.13
O  0.0186  0.7501  0.3751  2 Mn 1.96-1.97, 2 Li 2.13-2.15
O  0.1799  0.5815  0.1098  2 Mn 1.96-1.99, 3 Li 2.10-2.12
O  0.3542  0.4158  0.3557  2 Mn 1.91-2.05, 1 Li 2.13
O  0.8003  0.4075  0.3289  3 Mn 1.99-2.04, 2 Li 2.13-2.14
O  0.8007  0.4073  0.8288  3 Mn 1.99-2.04, 2 Li 2.13-2.14
O  0.6481  0.5832  0.6249  2 Mn 1.96-1.97, 2 Li 2.13-2.15
O  0.3121  0.9177  0.1451  2 Mn 1.92-2.04, 1 Li 2.13
O  0.3546  0.4156  0.8551  2 Mn 1.92-2.04, 1 Li 2.13
O  0.1455  0.0737  0.3603  2 Mn 1.94-1.96, 2 Li 2.05-2.06
O  0.8663  0.9258  0.6711  3 Mn 1.99-2.04, 2 Li 2.13-2.14
O  0.4872  0.7518  0.3901  2 Mn 1.96-1.98, 3 Li 2.10-2.12
O  0.0190  0.7505  0.8765  2 Mn 1.96-1.97, 2 Li 2.13-2.14
O  0.9781  0.2567  0.6116  1 Mn 1.82, 1 Li 2.00
O  0.9781  0.2568  0.1120  1 Mn 1.82, 1 Li 2.00
O  0.5208  0.2597  0.1394  2 Mn 1.94-1.96, 2 Li 2.05
O  0.4864  0.7518  0.8903  2 Mn 1.96-1.99, 3 Li 2.09-2.12
O  0.1458  0.0736  0.8604  2 Mn 1.95-1.96, 2 Li 2.05-2.06
O  0.6885  0.0765  0.8879  1 Mn 1.82, 1 Li 2.00
Li  0.3337  0.1666  0.7501  6 O 2.18-2.33
Li  0.8333  0.6667  0.4999  6 O 2.12-2.21
Li  0.8333  0.1667  0.2500  6 O 2.05-2.19
Li  0.8333  0.1666  0.7500  6 O 2.05-2.19
Li  0.6592  0.8323  0.2467  5 O 2.09-2.15
Li  0.5092  0.0074  0.5211  5 O 2.00-2.24
Li  0.0067  0.5012  0.2527  5 O 2.10-2.14
Li  0.1575  0.3259  0.4788  5 O 2.00-2.24
Li  0.3330  0.1667  0.2495  6 O 2.18-2.33
Li  0.0075  0.5010  0.7532  5 O 2.10-2.15
Li  0.8333  0.6667  0.0002  6 O 2.12-2.20
Li  0.6600  0.8322  0.7476  5 O 2.10-2.14
Li  0.1572  0.3258  0.9784  5 O 2.00-2.24
Li  0.5095  0.0075  0.0214  5 O 2.00-2.24



6.
This record from the Materials Project describes an optimized crystal structure of Rb2CoO3. The functional is PBE with a Hubbard U.

Values from the calculation:
E_form: -1456 meV per atom
Corrected total energy (MP2020 scheme): -5.4415 eV/atom
Largest piezoelectric modulus: 1.486 C/m²
Mass density: 4.45 g/cm3

a b c (Å): 6.3757 6.3757 5.4024
angles (deg): 90.00 90.00 109.24
Last column: nearest neighbours and their distance in Å.
Positions (direct):
Rb  0.5055  0.1840  0.7498  6 O 2.87-3.05
Rb  0.8160  0.4945  0.2498  6 O 2.87-3.05
Rb  0.4945  0.8160  0.2498  6 O 2.87-3.05
Rb  0.1840  0.5055  0.7498  6 O 2.87-3.05
O  0.1242  0.8898  0.0093  2 Co 1.90
O  0.8898  0.1242  0.0093  2 Co 1.90
O  0.6828  0.6828  0.7788  1 Co 1.80
O  0.3172  0.3172  0.2788  1 Co 1.80
O  0.1102  0.8758  0.5093  2 Co 1.90
O  0.8758  0.1102  0.5093  2 Co 1.90
Co  0.9267  0.9267  0.7631  5 O 1.80-1.90
Co  0.0733  0.0733  0.2631  5 O 1.80-1.90